# Sr4LiB3N6 | the Materials Project database | GGA-PBE | optimized geometry
# Crystal system: cubic
# Energy (eV for the cell shown): -188.22
data_Sr4LiB3N6
_symmetry_space_group_name_H-M 'I m -3 m'
_symmetry_Int_Tables_number 229
_symmetry_space_group_name_Hall '-I 4 2 3'
_cell_length_a 7.4931
_cell_length_b 7.4931
_cell_length_c 7.4931
_cell_angle_alpha 90.00
_cell_angle_beta 90.00
_cell_angle_gamma 90.00
loop_
_atom_site_label
_atom_site_fract_x
_atom_site_fract_y
_atom_site_fract_z
Sr1 0.2500 0.2500 0.2500
Li1 0.0000 0.0000 0.0000
B1 0.0000 0.0000 0.5000
N1 0.0000 0.0000 0.3198